Here is a relaxed NbNCl6 crystal from the Materials Project database. Energies are from PBE.

Lattice parameters (Å, degrees): 12.406 6.494 12.520 90.00 102.38 90.00
Space group C2/c (No. 15)
One atom of each set of equivalent atoms:
Nb 0.250 0.250 0.000 (multiplicity 4)
N 0.000 0.119 0.250 (multiplicity 4)
Cl 0.082 0.383 0.897 (multiplicity 8)
Cl 0.155 0.050 0.541 (multiplicity 8)
Cl 0.215 0.415 0.159 (multiplicity 8)

Values from the calculation:
total DFT energy (no corrections)	-122.80	eV for the cell shown